KUSe2O8, relaxed, DFT PBE; E = -6.57 eV per atom; total magnetization = 1.000 μB per formula unit; crystal system = monoclinic; formation energy from the elements = -2.113 eV per atom
1.0
10.240 0.000 0.000
0.000 9.050 0.000
0.000 8.387 9.743
K U Se O
4 4 8 32
Cartesian
5.645 6.253 4.299
9.716 10.447 9.171
4.596 11.185 5.444
0.525 6.991 0.572
8.160 9.927 3.018
7.201 14.120 7.890
2.081 7.511 6.725
3.039 3.317 1.854
9.824 4.394 2.954
5.536 8.587 7.825
0.416 13.044 6.790
4.704 8.850 1.918
1.329 9.862 3.900
3.791 14.056 8.771
8.911 7.576 5.844
6.449 3.382 0.972
8.803 5.622 2.479
6.558 9.816 7.351
1.438 11.816 7.264
3.682 7.622 2.392
9.282 2.926 2.249
6.078 7.119 7.121
0.958 14.512 7.494
4.162 10.318 2.622
9.965 10.226 4.463
5.395 14.420 9.334
0.275 7.212 5.281
4.845 3.018 0.409
1.958 11.476 3.749
3.162 15.670 8.620
8.282 5.962 5.995
7.078 1.768 1.123
8.069 8.081 4.430
7.291 12.275 9.302
2.171 9.357 5.313
2.949 5.163 0.442
6.224 8.507 2.630
9.137 12.701 7.502
4.017 8.931 7.113
1.104 4.737 2.241
9.278 9.067 1.838
6.082 13.260 6.710
0.962 8.371 7.905
4.158 4.177 3.033
7.114 10.939 4.114
8.246 15.133 8.986
3.126 6.498 5.629
1.994 2.305 0.757